Entry 1:
Computed, not measured: a geometry-optimized Er4MgCo structure at the meta-GGA r2SCAN level of DFT.

## Properties
Crystal system: cubic
Calculated volume, Å³/cell: 596
DFT total energy, eV per atom: -25.620

Cell: 9.4486 9.4486 9.4487 Å, 60.00 60.00 60.00°
Fractional coordinates of all 24 atoms:
Er 0.5934 0.5934 0.5934
Er 0.5934 0.5934 0.2198
Er 0.5934 0.2198 0.5934
Er 0.2198 0.5934 0.5934
Er 0.0639 0.4361 0.4361
Er 0.4361 0.0639 0.0639
Er 0.4361 0.0639 0.4361
Er 0.0639 0.4361 0.0639
Er 0.4361 0.4361 0.0639
Er 0.0639 0.0639 0.4361
Er 0.1879 0.8121 0.8121
Er 0.8121 0.1879 0.1879
Er 0.8121 0.1879 0.8121
Er 0.1879 0.8121 0.1879
Er 0.8121 0.8121 0.1879
Er 0.1879 0.1879 0.8121
Mg 0.8286 0.8285 0.8286
Mg 0.8286 0.8286 0.5143
Mg 0.8286 0.5143 0.8286
Mg 0.5143 0.8286 0.8286
Co 0.3904 0.3904 0.3904
Co 0.3904 0.3904 0.8288
Co 0.3904 0.8288 0.3904
Co 0.8288 0.3904 0.3904


Entry 2:
Computed, not measured: a geometry-optimized ErCoO3 structure at the meta-GGA r2SCAN level of DFT.

## Properties
Crystal system: orthorhombic
Calculated volume, Å³/cell: 201
DFT total energy, eV per atom: -15.684

Cell: 5.0822 5.4249 7.3069 Å, 90.00 90.00 90.00°
Fractional coordinates of all 20 atoms:
Er 0.0211 0.9256 0.7500
Er 0.4789 0.4256 0.7500
Er 0.5211 0.5744 0.2500
Er 0.9789 0.0744 0.2500
Co 0.5000 0.0000 0.5000
Co 0.5000 0.0000 0.0000
Co 0.0000 0.5000 0.5000
Co 0.0000 0.5000 0.0000
O 0.8950 0.5315 0.7500
O 0.8095 0.8020 0.0524
O 0.1905 0.1980 0.5524
O 0.1050 0.4685 0.2500
O 0.3950 0.9685 0.2500
O 0.6905 0.3020 0.4476
O 0.3095 0.6980 0.9476
O 0.6050 0.0315 0.7500
O 0.1905 0.1980 0.9476
O 0.8095 0.8020 0.4476
O 0.3095 0.6980 0.5524
O 0.6905 0.3020 0.0524


Entry 3:
Computed, not measured: a geometry-optimized Er5Co19P12 structure at the meta-GGA r2SCAN level of DFT.

## Properties
Crystal system: hexagonal
Calculated volume, Å³/cell: 443
DFT total energy, eV per atom: -15.553

Cell: 11.8418 11.8414 3.6516 Å, 90.00 90.00 120.00°
Fractional coordinates of all 36 atoms:
Er 0.3333 0.6667 0.0000
Er 0.6666 0.3333 0.0000
Er 0.0000 0.1875 0.5000
Er 0.8124 0.8124 0.5000
Er 0.1876 0.0000 0.5000
Co 0.6226 0.8226 0.0000
Co 0.1774 0.8000 0.0000
Co 0.2000 0.3774 0.0000
Co 0.3774 0.2000 0.0000
Co 0.8226 0.6226 0.0000
Co 0.8000 0.1774 0.0000
Co 0.0000 0.5535 0.0000
Co 0.4465 0.4465 0.0000
Co 0.5535 0.0000 0.0000
Co 0.5165 0.6418 0.5000
Co 0.3583 0.8747 0.5000
Co 0.1253 0.4835 0.5000
Co 0.4836 0.1253 0.5000
Co 0.6417 0.5165 0.5000
Co 0.8747 0.3582 0.5000
Co 0.0000 0.7153 0.5000
Co 0.2847 0.2847 0.5000
Co 0.7153 0.0000 0.5000
Co 0.0000 0.0000 0.0000
P 0.0000 0.3675 0.0000
P 0.6324 0.6325 0.0000
P 0.3676 0.0000 0.0000
P 0.5198 0.8332 0.5000
P 0.1668 0.6866 0.5000
P 0.3134 0.4803 0.5000
P 0.4802 0.3134 0.5000
P 0.8332 0.5197 0.5000
P 0.6866 0.1668 0.5000
P 0.0000 0.8206 0.0000
P 0.1794 0.1794 0.0000
P 0.8206 0.0000 0.0000


Entry 4:
Computed, not measured: a geometry-optimized ErCo5P3 structure at the meta-GGA r2SCAN level of DFT.

## Properties
Crystal system: orthorhombic
Calculated volume, Å³/cell: 428
DFT total energy, eV per atom: -14.915

Cell: 3.6236 10.1578 11.6173 Å, 90.00 90.00 90.00°
Fractional coordinates of all 36 atoms:
Er 0.2500 0.5814 0.7016
Er 0.2500 0.9186 0.2016
Er 0.7500 0.4186 0.2984
Er 0.7500 0.0814 0.7984
Co 0.2500 0.7118 0.9894
Co 0.2500 0.7882 0.4894
Co 0.7500 0.2882 0.0106
Co 0.7500 0.2118 0.5106
Co 0.2500 0.4057 0.4869
Co 0.2500 0.0943 0.9869
Co 0.7500 0.5943 0.5131
Co 0.7500 0.9057 0.0131
Co 0.2500 0.2220 0.1753
Co 0.2500 0.2780 0.6753
Co 0.7500 0.7780 0.8247
Co 0.7500 0.7220 0.3247
Co 0.2500 0.8824 0.6989
Co 0.2500 0.6176 0.1989
Co 0.7500 0.1176 0.3011
Co 0.7500 0.3824 0.8011
Co 0.2500 0.4663 0.9329
Co 0.2500 0.0337 0.4329
Co 0.7500 0.5337 0.0671
Co 0.7500 0.9663 0.5671
P 0.2500 0.4203 0.1141
P 0.2500 0.0797 0.6141
P 0.7500 0.5797 0.8859
P 0.7500 0.9203 0.3859
P 0.2500 0.2697 0.8667
P 0.2500 0.2303 0.3667
P 0.7500 0.7303 0.1333
P 0.7500 0.7697 0.6333
P 0.2500 0.6013 0.3922
P 0.2500 0.8987 0.8922
P 0.7500 0.3987 0.6078
P 0.7500 0.1013 0.1078